[1]
Computed, not measured: a relaxed YUGa4 crystal at the PBE level of DFT.

Cell: 4.0786 4.2138 7.3327 Å, 90.00 90.00 90.00°
Space group Pmmm (No. 47)
Asymmetric unit:
Y1 0.0000 0.0000 0.0000 x1
U1 0.0000 0.5000 0.5000 x1
Ga1 0.5000 0.0000 0.3340 x2
Ga2 0.5000 0.5000 0.1669 x2

Results
calculated density: 7.98 Mg/m³
uncorrected energy: -5.349 eV/atom

***

[2]
Computed, not measured: a relaxed V3Ga2 crystal at the PBE level of DFT.

Cell: 6.5462 6.5462 6.5462 Å, 90.00 90.00 90.00°
Space group P4_132 (No. 213)
Asymmetric unit:
V1 0.0434 0.1250 0.7934 x12
Ga1 0.0621 0.9379 0.4379 x8

Results
calculated density: 6.92 Mg/m³
uncorrected energy: -6.773 eV/atom

***

[3]
Computed, not measured: a relaxed V8Ga41 crystal at the PBE level of DFT.

Cell: 13.9944 13.9944 14.9444 Å, 90.00 90.00 120.00°
Space group R-3 (No. 148, hexagonal axes)
Asymmetric unit:
V1 0.0000 0.0000 0.1858 x6
V2 0.0143 0.7044 0.5989 x18
Ga1 0.0000 0.0000 0.0000 x3
Ga2 0.0000 0.0000 0.5000 x3
Ga3 0.0000 0.5000 0.0000 x9
Ga4 0.0005 0.1828 0.7845 x18
Ga5 0.0079 0.8844 0.6649 x18
Ga6 0.0089 0.6893 0.7673 x18
Ga7 0.0130 0.1698 0.1139 x18
Ga8 0.0143 0.5304 0.6606 x18
Ga9 0.0903 0.5352 0.1701 x18

Results
calculated density: 6.42 Mg/m³
uncorrected energy: -4.198 eV/atom

***

[4]
Computed, not measured: a relaxed Ga5W2 crystal at the PBE level of DFT.

Cell: 9.1800 9.1800 2.7346 Å, 90.00 90.00 90.00°
Space group P4/mbm (No. 127)
Asymmetric unit:
Ga1 0.0000 0.5000 0.0000 x2
Ga2 0.0597 0.2009 0.0000 x8
W1 0.1793 0.6793 0.5000 x4

Results
calculated density: 10.32 Mg/m³
uncorrected energy: -5.807 eV/atom

***

[5]
Computed, not measured: a relaxed YGa3 crystal at the PBE level of DFT.

Cell: 6.3019 6.3019 4.5819 Å, 90.00 90.00 120.00°
Space group P6_3/mmc (No. 194)
Asymmetric unit:
Y1 0.3333 0.6667 0.2500 x2
Ga1 0.1476 0.2952 0.7500 x6

Results
calculated density: 6.28 Mg/m³
uncorrected energy: -4.425 eV/atom

***

[6]
Computed, not measured: a relaxed YGa crystal at the PBE level of DFT.

Cell: 4.3384 10.9251 4.0874 Å, 90.00 90.00 90.00°
Space group Cmcm (No. 63)
Asymmetric unit:
Y1 0.0000 0.1394 0.2500 x4
Ga1 0.0000 0.4239 0.2500 x4

Results
calculated density: 5.44 Mg/m³
uncorrected energy: -5.415 eV/atom

***

[7]
Computed, not measured: a relaxed YGa3 crystal at the PBE level of DFT.

Cell: 4.2836 4.2836 4.2836 Å, 90.00 90.00 90.00°
Space group Pm-3m (No. 221)
Asymmetric unit:
Y1 0.0000 0.0000 0.0000 x1
Ga1 0.0000 0.5000 0.5000 x3

Results
calculated density: 6.30 Mg/m³
uncorrected energy: -4.425 eV/atom

***

[8]
Computed, not measured: a relaxed YZnGa crystal at the PBE level of DFT.

Cell: 4.4247 4.4247 7.2296 Å, 90.00 90.00 120.00°
Space group P6_3/mmc (No. 194)
Asymmetric unit:
Y1 0.0000 0.0000 0.0000 x2
Zn1 0.3333 0.6667 0.2500 x2
Ga1 0.3333 0.6667 0.7500 x2

Results
calculated density: 6.07 Mg/m³
uncorrected energy: -4.171 eV/atom

***

[9]
Computed, not measured: a relaxed ZnGa3 crystal at the PBE level of DFT.

Cell: 4.1612 4.1612 4.1612 Å, 90.00 90.00 90.00°
Space group Pm-3m (No. 221)
Asymmetric unit:
Zn1 0.0000 0.0000 0.0000 x1
Ga1 0.0000 0.5000 0.5000 x3

Results
calculated density: 6.33 Mg/m³
uncorrected energy: -2.550 eV/atom

***

[10]
Computed, not measured: a relaxed Zr2Zn3Ga3 crystal at the PBE level of DFT.

Cell: 4.0427 4.0824 8.2349 Å, 90.00 90.00 90.00°
Space group Pmmm (No. 47)
Asymmetric unit:
Zr1 0.0000 0.0000 0.2456 x2
Zn1 0.0000 0.5000 0.0000 x1
Zn2 0.0000 0.5000 0.5000 x1
Zn3 0.5000 0.0000 0.5000 x1
Ga1 0.5000 0.0000 0.0000 x1
Ga2 0.5000 0.5000 0.2567 x2

Results
calculated density: 7.18 Mg/m³
uncorrected energy: -4.218 eV/atom

***

[11]
Computed, not measured: a relaxed Zr5Ga3 crystal at the PBE level of DFT.

Cell: 8.1265 8.1265 5.7694 Å, 90.00 90.00 120.00°
Space group P6_3/mcm (No. 193)
Asymmetric unit:
Zr1 0.0000 0.2413 0.2500 x6
Zr2 0.3333 0.6667 0.0000 x4
Ga1 0.0000 0.3937 0.7500 x6

Results
calculated density: 6.70 Mg/m³
uncorrected energy: -6.984 eV/atom

***

[12]
Computed, not measured: a relaxed ZrGa3 crystal at the PBE level of DFT.

Cell: 3.9228 3.9228 9.1816 Å, 90.00 90.00 90.00°
Space group I4/mmm (No. 139)
Asymmetric unit:
Zr1 0.0000 0.0000 0.0000 x2
Ga1 0.0000 0.0000 0.5000 x2
Ga2 0.0000 0.5000 0.2500 x4

Results
calculated density: 7.06 Mg/m³
uncorrected energy: -4.889 eV/atom

***

[13]
Computed, not measured: a relaxed Zr2Ga crystal at the PBE level of DFT.

Cell: 6.7068 6.7068 5.4853 Å, 90.00 90.00 90.00°
Space group I4/mcm (No. 140)
Asymmetric unit:
Zr1 0.1541 0.3459 0.0000 x8
Ga1 0.0000 0.0000 0.2500 x4

Results
calculated density: 6.79 Mg/m³
uncorrected energy: -7.173 eV/atom

***

[14]
Computed, not measured: a relaxed ZrGa3 crystal at the PBE level of DFT.

Cell: 3.9932 3.9932 17.6604 Å, 90.00 90.00 90.00°
Space group I4/mmm (No. 139)
Asymmetric unit:
Zr1 0.0000 0.0000 0.1184 x4
Ga1 0.0000 0.0000 0.3752 x4
Ga2 0.0000 0.5000 0.0000 x4
Ga3 0.0000 0.5000 0.2500 x4

Results
calculated density: 7.09 Mg/m³
uncorrected energy: -4.898 eV/atom

***

[15]
Computed, not measured: a relaxed Zr3Ga5 crystal at the PBE level of DFT.

Cell: 8.9121 7.1559 9.1029 Å, 90.00 90.00 90.00°
Space group Cmcm (No. 63)
Asymmetric unit:
Zr1 0.0000 0.1369 0.2500 x4
Zr2 0.2055 0.5000 0.0000 x8
Ga1 0.0000 0.1839 0.5504 x8
Ga2 0.0000 0.4831 0.7500 x4
Ga3 0.2103 0.2125 0.7500 x8

Results
calculated density: 7.12 Mg/m³
uncorrected energy: -5.700 eV/atom

***

[16]
Computed, not measured: a relaxed ZrGa crystal at the PBE level of DFT.

Cell: 3.8965 3.8965 20.5383 Å, 90.00 90.00 90.00°
Space group I4_1/amd (No. 141, origin choice 2)
Asymmetric unit:
Zr1 0.0000 0.2500 0.0723 x8
Ga1 0.0000 0.2500 0.2100 x8

Results
calculated density: 6.86 Mg/m³
uncorrected energy: -6.414 eV/atom

***

[17]
Computed, not measured: a relaxed Zr3Ga2 crystal at the PBE level of DFT.

Cell: 7.3772 7.3772 3.7062 Å, 90.00 90.00 90.00°
Space group P4/mbm (No. 127)
Asymmetric unit:
Zr1 0.0000 0.0000 0.0000 x2
Zr2 0.1768 0.3232 0.5000 x4
Ga1 0.1229 0.6229 0.0000 x4

Results
calculated density: 6.80 Mg/m³
uncorrected energy: -6.887 eV/atom

***

[18]
Computed, not measured: a relaxed Gd5Ge4 crystal at the PBE level of DFT.

Cell: 7.7373 14.9331 7.8390 Å, 90.00 90.00 90.00°
Space group Pnma (No. 62)
Asymmetric unit:
Gd1 0.0241 0.0998 0.1782 x8
Gd2 0.1226 0.6167 0.3381 x8
Gd3 0.2093 0.2500 0.5006 x4
Ge1 0.0823 0.2500 0.8874 x4
Ge2 0.1746 0.7500 0.6335 x4
Ge3 0.2179 0.0441 0.5329 x8

Results
calculated density: 7.90 Mg/m³
uncorrected energy: -10.716 eV/atom

***

[19]
Computed, not measured: a relaxed GdGe crystal at the PBE level of DFT.

Cell: 4.3458 10.8788 4.0059 Å, 90.00 90.00 90.00°
Space group Cmcm (No. 63)
Asymmetric unit:
Gd1 0.0000 0.1390 0.2500 x4
Ge1 0.0000 0.4170 0.2500 x4

Results
calculated density: 8.06 Mg/m³
uncorrected energy: -10.207 eV/atom

***

[20]
Computed, not measured: a relaxed Gd2InGe2 crystal at the PBE level of DFT.

Cell: 7.4726 7.4726 4.2810 Å, 90.00 90.00 90.00°
Space group P4/mbm (No. 127)
Asymmetric unit:
Gd1 0.1782 0.3218 0.0000 x4
In1 0.0000 0.0000 0.5000 x2
Ge1 0.1218 0.6218 0.5000 x4

Results
calculated density: 7.98 Mg/m³
uncorrected energy: -8.753 eV/atom